[1]
Compound: CaAl2Si16O38
Source: Materials Project
Functional: PBE
Structure: relaxed

Results
As for the space-group type: Cmcm. The MP2020-corrected energy comes out at -8.048 eV per atom. The calculation puts the final energy at -7.5902 eV per atom. The value obtained for the spin magnetization is 3.1 μB/f.u. Its theoretical density is 1.65 g cm⁻³. As for the formation energy: -70.6 kcal/mol of atoms.

Geometry as CIF:
```
data_CaAl2Si16O38
_cell_length_a 13.5040
_cell_length_b 13.5040
_cell_length_c 14.7537
_cell_angle_alpha 90.00
_cell_angle_beta 90.00
_cell_angle_gamma 120.71
_symmetry_space_group_name_H-M 'P 1'
_symmetry_Int_Tables_number 1
_symmetry_space_group_name_Hall 'P 1'
loop_
_atom_site_label
_atom_site_fract_x
_atom_site_fract_y
_atom_site_fract_z
Ca1 0.0141 0.9859 0.7500
Ca2 0.9859 0.0141 0.2500
Al1 0.1007 0.4342 0.2500
Al2 0.4342 0.1007 0.7500
Al3 0.5658 0.8993 0.2500
Al4 0.8993 0.5658 0.7500
Si1 0.0024 0.2300 0.1075
Si2 0.0024 0.2300 0.3925
Si3 0.0026 0.2242 0.6109
Si4 0.0026 0.2242 0.8891
Si5 0.0911 0.6717 0.2500
Si6 0.2242 0.0026 0.1109
Si7 0.2242 0.0026 0.3891
Si8 0.2300 0.0024 0.6075
Si9 0.2300 0.0024 0.8925
Si10 0.2327 0.2336 0.1086
Si11 0.2327 0.2336 0.3914
Si12 0.2336 0.2327 0.6086
Si13 0.2336 0.2327 0.8914
Si14 0.3283 0.9089 0.2500
Si15 0.3359 0.4297 0.2500
Si16 0.4297 0.3359 0.7500
Si17 0.5703 0.6641 0.2500
Si18 0.6641 0.5703 0.7500
Si19 0.6717 0.0911 0.7500
Si20 0.7664 0.7673 0.1086
Si21 0.7664 0.7673 0.3914
Si22 0.7673 0.7664 0.6086
Si23 0.7673 0.7664 0.8914
Si24 0.7700 0.9976 0.1075
Si25 0.7700 0.9976 0.3925
Si26 0.7758 0.9974 0.6109
Si27 0.7758 0.9974 0.8891
Si28 0.9089 0.3283 0.7500
Si29 0.9974 0.7758 0.1109
Si30 0.9974 0.7758 0.3891
Si31 0.9976 0.7700 0.6075
Si32 0.9976 0.7700 0.8925
O1 0.0020 0.7650 0.0024
O2 0.0020 0.7650 0.4976
O3 0.0279 0.6893 0.1604
O4 0.0279 0.6893 0.3396
O5 0.0337 0.3471 0.1539
O6 0.0337 0.3471 0.3461
O7 0.0798 0.5500 0.2500
O8 0.0865 0.9135 0.1412
O9 0.0865 0.9135 0.3588
O10 0.0954 0.1855 0.1356
O11 0.0954 0.1855 0.3644
O12 0.1172 0.8828 0.6448
O13 0.1172 0.8828 0.8552
O14 0.1285 0.2493 0.6434
O15 0.1285 0.2493 0.8566
O16 0.1855 0.0954 0.6356
O17 0.1855 0.0954 0.8644
O18 0.2244 0.7756 0.2500
O19 0.2350 0.9980 0.0024
O20 0.2350 0.9980 0.4976
O21 0.2454 0.4715 0.2500
O22 0.2493 0.1285 0.1434
O23 0.2493 0.1285 0.3566
O24 0.2510 0.2510 0.0000
O25 0.2510 0.2510 0.5000
O26 0.3107 0.9721 0.1604
O27 0.3107 0.9721 0.3396
O28 0.3213 0.3504 0.1596
O29 0.3213 0.3504 0.3404
O30 0.3343 0.6657 0.5701
O31 0.3343 0.6657 0.9299
O32 0.3471 0.0337 0.6539
O33 0.3471 0.0337 0.8461
O34 0.3504 0.3213 0.6596
O35 0.3504 0.3213 0.8404
O36 0.4500 0.9202 0.2500
O37 0.4691 0.5309 0.2500
O38 0.4715 0.2454 0.7500
O39 0.5285 0.7546 0.2500
O40 0.5309 0.4691 0.7500
O41 0.5500 0.0798 0.7500
O42 0.6496 0.6787 0.1596
O43 0.6496 0.6787 0.3404
O44 0.6529 0.9663 0.1539
O45 0.6529 0.9663 0.3461
O46 0.6657 0.3343 0.0701
O47 0.6657 0.3343 0.4299
O48 0.6787 0.6496 0.6596
O49 0.6787 0.6496 0.8404
O50 0.6893 0.0279 0.6604
O51 0.6893 0.0279 0.8396
O52 0.7490 0.7490 0.0000
O53 0.7490 0.7490 0.5000
O54 0.7507 0.8715 0.6434
O55 0.7507 0.8715 0.8566
O56 0.7546 0.5285 0.7500
O57 0.7650 0.0020 0.5024
O58 0.7650 0.0020 0.9976
O59 0.7756 0.2244 0.7500
O60 0.8145 0.9046 0.1356
O61 0.8145 0.9046 0.3644
O62 0.8715 0.7507 0.1434
O63 0.8715 0.7507 0.3566
O64 0.8828 0.1172 0.1448
O65 0.8828 0.1172 0.3552
O66 0.9046 0.8145 0.6356
O67 0.9046 0.8145 0.8644
O68 0.9135 0.0865 0.6412
O69 0.9135 0.0865 0.8588
O70 0.9202 0.4500 0.7500
O71 0.9663 0.6529 0.6539
O72 0.9663 0.6529 0.8461
O73 0.9721 0.3107 0.6604
O74 0.9721 0.3107 0.8396
O75 0.9980 0.2350 0.5024
O76 0.9980 0.2350 0.9976
```

***

[2]
Compound: LaNi2GeP
Source: Materials Project
Functional: PBE
Structure: relaxed

Results
As for the space-group type: I4mm. The calculation puts the final energy at -6.1598 eV per atom. The value obtained for the spin magnetization is 0.0 μB/f.u. Its theoretical density is 7.20 g cm⁻³. As for the formation energy: -19.7 kcal/mol of atoms.

Geometry as CIF:
```
data_LaNi2GeP
_cell_length_a 5.7301
_cell_length_b 5.7301
_cell_length_c 5.7301
_cell_angle_alpha 138.10
_cell_angle_beta 138.10
_cell_angle_gamma 60.75
_symmetry_space_group_name_H-M 'P 1'
_symmetry_Int_Tables_number 1
_symmetry_space_group_name_Hall 'P 1'
loop_
_atom_site_label
_atom_site_fract_x
_atom_site_fract_y
_atom_site_fract_z
La1 0.0000 0.0000 0.0000
Ni1 0.2415 0.7415 0.5000
Ni2 0.7415 0.2415 0.5000
Ge1 0.3685 0.3685 0.0000
P1 0.6330 0.6330 0.0000
```

***

[3]
Compound: GePt3
Source: Materials Project
Functional: PBE
Structure: relaxed

Results
As for the space-group type: I4/mcm. The calculation puts the final energy at -6.0194 eV per atom. Its theoretical density is 17.35 g cm⁻³. As for the formation energy: -7.2 kcal/mol of atoms.

Geometry as CIF:
```
data_GePt3
_cell_length_a 5.6405
_cell_length_b 5.6405
_cell_length_c 5.6405
_cell_angle_alpha 120.50
_cell_angle_beta 120.50
_cell_angle_gamma 89.13
_symmetry_space_group_name_H-M 'P 1'
_symmetry_Int_Tables_number 1
_symmetry_space_group_name_Hall 'P 1'
loop_
_atom_site_label
_atom_site_fract_x
_atom_site_fract_y
_atom_site_fract_z
Ge1 0.2500 0.7500 0.5000
Ge2 0.7500 0.2500 0.5000
Pt1 0.1953 0.6953 0.8906
Pt2 0.2500 0.2500 0.0000
Pt3 0.3047 0.1953 0.5000
Pt4 0.6953 0.8047 0.5000
Pt5 0.7500 0.7500 0.0000
Pt6 0.8047 0.3047 0.1094
```

***

[4]
Compound: HgH10C3I3N
Source: Materials Project
Functional: PBE
Structure: relaxed

Results
As for the space-group type: P2_1/c. The MP2020-corrected energy comes out at -4.422 eV per atom. The calculation puts the final energy at -4.4017 eV per atom. The value obtained for the spin magnetization is 0.0 μB/f.u. Its theoretical density is 3.22 g cm⁻³. As for the formation energy: -6.1 kcal/mol of atoms.

Geometry as CIF:
```
data_HgH10C3I3N
_cell_length_a 9.2941
_cell_length_b 15.9568
_cell_length_c 8.9164
_cell_angle_alpha 90.00
_cell_angle_beta 90.45
_cell_angle_gamma 90.00
_symmetry_space_group_name_H-M 'P 1'
_symmetry_Int_Tables_number 1
_symmetry_space_group_name_Hall 'P 1'
loop_
_atom_site_label
_atom_site_fract_x
_atom_site_fract_y
_atom_site_fract_z
Hg1 0.2423 0.2164 0.3205
Hg2 0.2423 0.2836 0.8205
Hg3 0.7577 0.7164 0.1795
Hg4 0.7577 0.7836 0.6795
H1 0.0857 0.5978 0.3947
H2 0.0857 0.9022 0.8947
H3 0.1455 0.6529 0.1502
H4 0.1455 0.8471 0.6502
H5 0.1564 0.5046 0.1976
H6 0.1564 0.9954 0.6976
H7 0.1716 0.5044 0.4634
H8 0.1716 0.9956 0.9634
H9 0.2704 0.6013 0.4555
H10 0.2704 0.8987 0.9555
H11 0.2785 0.6013 0.0379
H12 0.2785 0.8987 0.5379
H13 0.3326 0.6595 0.2017
H14 0.3326 0.8405 0.7017
H15 0.3580 0.0627 0.8161
H16 0.3580 0.4373 0.3161
H17 0.3973 0.0247 0.6316
H18 0.3973 0.4753 0.1316
H19 0.4580 0.5333 0.2931
H20 0.4580 0.9667 0.7931
H21 0.5420 0.0333 0.2069
H22 0.5420 0.4667 0.7069
H23 0.6027 0.5247 0.8684
H24 0.6027 0.9753 0.3684
H25 0.6420 0.5627 0.6839
H26 0.6420 0.9373 0.1839
H27 0.6674 0.1595 0.2983
H28 0.6674 0.3405 0.7983
H29 0.7215 0.1013 0.4621
H30 0.7215 0.3987 0.9621
H31 0.7296 0.1013 0.0445
H32 0.7296 0.3987 0.5445
H33 0.8284 0.0044 0.0366
H34 0.8284 0.4956 0.5366
H35 0.8436 0.0046 0.3024
H36 0.8436 0.4954 0.8024
H37 0.8545 0.1529 0.3498
H38 0.8545 0.3471 0.8498
H39 0.9143 0.0978 0.1053
H40 0.9143 0.4022 0.6053
C1 0.1870 0.5630 0.4013
C2 0.1870 0.9370 0.9013
C3 0.2487 0.6198 0.1518
C4 0.2487 0.8802 0.6518
C5 0.3724 0.0066 0.7470
C6 0.3724 0.4934 0.2470
C7 0.6276 0.5066 0.7530
C8 0.6276 0.9934 0.2530
C9 0.7513 0.1198 0.3482
C10 0.7513 0.3802 0.8482
C11 0.8130 0.0630 0.0987
C12 0.8130 0.4370 0.5987
I1 0.0291 0.1671 0.7597
I2 0.0291 0.3329 0.2597
I3 0.1880 0.0445 0.3259
I4 0.1880 0.4555 0.8259
I5 0.4466 0.2327 0.0508
I6 0.4466 0.2673 0.5508
I7 0.5534 0.7327 0.4492
I8 0.5534 0.7673 0.9492
I9 0.8120 0.5445 0.1741
I10 0.8120 0.9555 0.6741
I11 0.9709 0.6671 0.7403
I12 0.9709 0.8329 0.2403
N1 0.2351 0.5425 0.2456
N2 0.2351 0.9575 0.7456
N3 0.7649 0.0425 0.2544
N4 0.7649 0.4575 0.7544
```

***

[5]
Compound: Rb2Nb3Br9
Source: Materials Project
Functional: PBE
Structure: relaxed

Results
As for the space-group type: C2/m. The MP2020-corrected energy comes out at -4.875 eV per atom. The calculation puts the final energy at -4.5319 eV per atom. Its theoretical density is 4.08 g cm⁻³. As for the formation energy: -35.0 kcal/mol of atoms.

Geometry as CIF:
```
data_Rb2Nb3Br9
_cell_length_a 10.6020
_cell_length_b 10.6020
_cell_length_c 10.5088
_cell_angle_alpha 103.41
_cell_angle_beta 103.41
_cell_angle_gamma 116.18
_symmetry_space_group_name_H-M 'P 1'
_symmetry_Int_Tables_number 1
_symmetry_space_group_name_Hall 'P 1'
loop_
_atom_site_label
_atom_site_fract_x
_atom_site_fract_y
_atom_site_fract_z
Rb1 0.0523 0.7326 0.6743
Rb2 0.2674 0.9477 0.3257
Rb3 0.7326 0.0523 0.6743
Rb4 0.9477 0.2674 0.3257
Nb1 0.2914 0.4569 0.8674
Nb2 0.3911 0.3911 0.1214
Nb3 0.4569 0.2914 0.8674
Nb4 0.5431 0.7086 0.1326
Nb5 0.6089 0.6089 0.8786
Nb6 0.7086 0.5431 0.1326
Br1 0.0035 0.3940 0.6844
Br2 0.1112 0.3143 0.9858
Br3 0.1900 0.1900 0.6746
Br4 0.2444 0.2444 0.2831
Br5 0.2973 0.7027 0.0000
Br6 0.3143 0.1112 0.9858
Br7 0.3770 0.5796 0.6902
Br8 0.3940 0.0035 0.6844
Br9 0.4204 0.6230 0.3098
Br10 0.5796 0.3770 0.6902
Br11 0.6060 0.9965 0.3156
Br12 0.6230 0.4204 0.3098
Br13 0.6857 0.8888 0.0142
Br14 0.7027 0.2973 0.0000
Br15 0.7556 0.7556 0.7169
Br16 0.8100 0.8100 0.3254
Br17 0.8888 0.6857 0.0142
Br18 0.9965 0.6060 0.3156
```

***

[6]
Compound: BaC6
Source: Materials Project
Functional: PBE
Structure: relaxed

Results
As for the space-group type: P6_3/mmc. The calculation puts the final energy at -8.2682 eV per atom. Its theoretical density is 3.96 g cm⁻³. As for the formation energy: -1.9 kcal/mol of atoms.

Geometry as CIF:
```
data_BaC6
_cell_length_a 4.3394
_cell_length_b 4.3394
_cell_length_c 10.7630
_cell_angle_alpha 90.00
_cell_angle_beta 90.00
_cell_angle_gamma 120.00
_symmetry_space_group_name_H-M 'P 1'
_symmetry_Int_Tables_number 1
_symmetry_space_group_name_Hall 'P 1'
loop_
_atom_site_label
_atom_site_fract_x
_atom_site_fract_y
_atom_site_fract_z
Ba1 0.3333 0.6667 0.2500
Ba2 0.6667 0.3333 0.7500
C1 0.0000 0.3334 0.0000
C2 0.0000 0.3334 0.5000
C3 0.0000 0.6666 0.0000
C4 0.0000 0.6666 0.5000
C5 0.3334 0.0000 0.0000
C6 0.3334 0.0000 0.5000
C7 0.3334 0.3334 0.0000
C8 0.3334 0.3334 0.5000
C9 0.6666 0.0000 0.0000
C10 0.6666 0.0000 0.5000
C11 0.6666 0.6666 0.0000
C12 0.6666 0.6666 0.5000
```